No. 1
A plane-wave DFT calculation with PBE+U was carried out for a relaxed structure of LiFePCO7.

Output
Total magnetic moment in μB/atom: 0.36
E_tot in eV per atom: -6.847
Energy above the lowest structure with this stoichiometry in meV/atom: 13.5

Cell and atoms, written as CIF:
```
data_LiFePCO7
_chemical_formula_sum 'Li6 Fe6 P6 C6 O42'
_space_group_name_H-M_alt 'P 1'
_space_group_IT_number 1
_cell_length_a 5.153
_cell_length_b 8.394
_cell_length_c 19.403
_cell_angle_alpha 90.24
_cell_angle_beta 90.07
_cell_angle_gamma 95.03
loop_
_space_group_symop_operation_xyz
'x,y,z'
loop_
_atom_site_label
_atom_site_type_symbol
_atom_site_fract_x
_atom_site_fract_y
_atom_site_fract_z
Li1 Li 0.000 0.000 0.000
Li2 Li 0.000 0.000 0.334
Li3 Li 0.457 0.217 0.834
Li4 Li 0.462 0.217 0.167
Li5 Li 0.463 0.217 0.502
Li6 Li 0.476 0.827 0.735
Fe1 Fe 0.033 0.772 0.835
Fe2 Fe 0.034 0.776 0.167
Fe3 Fe 0.036 0.776 0.501
Fe4 Fe 0.426 0.441 0.001
Fe5 Fe 0.427 0.440 0.333
Fe6 Fe 0.430 0.441 0.666
P1 P 0.503 0.531 0.167
P2 P 0.506 0.528 0.833
P3 P 0.507 0.533 0.498
P4 P 0.957 0.685 0.001
P5 P 0.959 0.685 0.333
P6 P 0.963 0.684 0.667
C1 C 0.516 0.152 0.669
C2 C 0.523 0.151 0.333
C3 C 0.523 0.151 0.999
C4 C 0.936 0.062 0.829
C5 C 0.939 0.064 0.501
C6 C 0.939 0.066 0.167
O1 O 0.024 0.786 0.603
O2 O 0.026 0.796 0.938
O3 O 0.026 0.798 0.271
O4 O 0.026 0.798 0.395
O5 O 0.027 0.799 0.062
O6 O 0.064 0.789 0.729
O7 O 0.099 0.527 0.665
O8 O 0.103 0.533 0.001
O9 O 0.105 0.533 0.333
O10 O 0.179 0.033 0.833
O11 O 0.181 0.033 0.500
O12 O 0.181 0.035 0.167
O13 O 0.280 0.180 0.000
O14 O 0.281 0.181 0.333
O15 O 0.284 0.199 0.665
O16 O 0.356 0.683 0.167
O17 O 0.360 0.685 0.498
O18 O 0.370 0.687 0.829
O19 O 0.427 0.422 0.896
O20 O 0.435 0.417 0.438
O21 O 0.435 0.418 0.104
O22 O 0.436 0.418 0.228
O23 O 0.439 0.416 0.771
O24 O 0.449 0.425 0.562
O25 O 0.565 0.009 0.675
O26 O 0.608 0.015 0.333
O27 O 0.610 0.015 0.999
O28 O 0.662 0.641 0.675
O29 O 0.663 0.630 0.000
O30 O 0.665 0.628 0.333
O31 O 0.690 0.277 0.999
O32 O 0.691 0.277 0.333
O33 O 0.697 0.269 0.666
O34 O 0.769 0.934 0.825
O35 O 0.770 0.939 0.501
O36 O 0.770 0.940 0.167
O37 O 0.797 0.588 0.166
O38 O 0.801 0.588 0.496
O39 O 0.802 0.582 0.834
O40 O 0.849 0.198 0.831
O41 O 0.853 0.201 0.166
O42 O 0.856 0.200 0.500
```

No. 2
A plane-wave DFT calculation with PBE+U was carried out for a relaxed structure of LiFePCO7.

Output
Total magnetic moment in μB/atom: 0.37
E_tot in eV per atom: -6.849
Energy above the lowest structure with this stoichiometry in meV/atom: 11.4

Cell and atoms, written as CIF:
```
data_LiFePCO7
_chemical_formula_sum 'Li4 Fe4 P4 C4 O28'
_space_group_name_H-M_alt 'P 1'
_space_group_IT_number 1
_cell_length_a 5.174
_cell_length_b 6.438
_cell_length_c 16.967
_cell_angle_alpha 89.69
_cell_angle_beta 84.69
_cell_angle_gamma 89.88
loop_
_space_group_symop_operation_xyz
'x,y,z'
loop_
_atom_site_label
_atom_site_type_symbol
_atom_site_fract_x
_atom_site_fract_y
_atom_site_fract_z
Li1 Li 0.000 0.000 0.000
Li2 Li 0.003 0.993 0.501
Li3 Li 0.023 0.695 0.199
Li4 Li 0.548 0.493 0.615
Fe1 Fe 0.578 0.993 0.724
Fe2 Fe 0.580 0.000 0.226
Fe3 Fe 0.974 0.497 0.389
Fe4 Fe 0.981 0.490 0.891
P1 P 0.048 0.991 0.845
P2 P 0.053 0.991 0.346
P3 P 0.511 0.492 0.770
P4 P 0.512 0.499 0.269
C1 C 0.062 0.502 0.035
C2 C 0.071 0.491 0.536
C3 C 0.479 0.994 0.579
C4 C 0.480 0.983 0.082
O1 O 0.105 0.525 0.106
O2 O 0.163 0.492 0.602
O3 O 0.212 0.525 0.289
O4 O 0.217 0.492 0.797
O5 O 0.231 0.489 0.472
O6 O 0.245 0.489 0.978
O7 O 0.318 0.994 0.643
O8 O 0.319 0.972 0.146
O9 O 0.341 0.991 0.817
O10 O 0.348 0.984 0.321
O11 O 0.387 0.985 0.016
O12 O 0.387 0.995 0.513
O13 O 0.572 0.301 0.220
O14 O 0.576 0.305 0.713
O15 O 0.576 0.680 0.713
O16 O 0.617 0.683 0.216
O17 O 0.645 0.494 0.347
O18 O 0.661 0.491 0.843
O19 O 0.722 0.994 0.591
O20 O 0.723 0.993 0.093
O21 O 0.827 0.490 0.524
O22 O 0.832 0.491 0.011
O23 O 0.898 0.992 0.771
O24 O 0.917 0.976 0.268
O25 O 0.976 0.809 0.404
O26 O 0.981 0.185 0.396
O27 O 0.984 0.178 0.901
O28 O 0.984 0.803 0.901
```

No. 3
A plane-wave DFT calculation with PBE+U was carried out for a relaxed structure of Li12V3FeP4C4O28.

Output
Total magnetic moment in μB/atom: 0.25
E_tot in eV per atom: -6.811

Cell and atoms, written as CIF:
```
data_Li12V3FeP4C4O28
_chemical_formula_sum 'Li12 V3 Fe1 P4 C4 O28'
_space_group_name_H-M_alt 'P 1 m 1'
_space_group_IT_number 6
_cell_length_a 8.485
_cell_length_b 6.599
_cell_length_c 10.012
_cell_angle_alpha 90.00
_cell_angle_beta 95.12
_cell_angle_gamma 90.00
loop_
_space_group_symop_operation_xyz
'x,y,z'
'x,-y,z'
loop_
_atom_site_label
_atom_site_type_symbol
_atom_site_fract_x
_atom_site_fract_y
_atom_site_fract_z
Li1 Li 0.000 0.000 0.000
Li2 Li 0.001 0.000 0.500
Li3 Li 0.186 0.500 0.239
Li4 Li 0.188 0.500 0.738
Li5 Li 0.370 0.277 0.496
Li6 Li 0.371 0.275 0.996
Li7 Li 0.817 0.222 0.743
Li8 Li 0.818 0.221 0.242
V1 V 0.424 0.000 0.723
V2 V 0.764 0.500 0.016
V3 V 0.764 0.500 0.516
Fe1 Fe 0.429 0.000 0.224
P1 P 0.505 0.500 0.260
P2 P 0.505 0.500 0.760
P3 P 0.683 0.000 0.479
P4 P 0.683 0.000 0.979
C1 C 0.060 0.500 0.469
C2 C 0.060 0.500 0.969
C3 C 0.128 0.000 0.769
C4 C 0.129 0.000 0.268
O1 O 0.020 0.500 0.092
O2 O 0.020 0.500 0.592
O3 O 0.165 0.000 0.145
O4 O 0.168 0.000 0.647
O5 O 0.206 0.500 0.442
O6 O 0.206 0.500 0.942
O7 O 0.242 0.000 0.365
O8 O 0.242 0.000 0.866
O9 O 0.402 0.317 0.706
O10 O 0.404 0.315 0.207
O11 O 0.515 0.000 0.028
O12 O 0.516 0.000 0.529
O13 O 0.523 0.500 0.416
O14 O 0.523 0.500 0.916
O15 O 0.665 0.000 0.323
O16 O 0.665 0.000 0.822
O17 O 0.672 0.500 0.209
O18 O 0.672 0.500 0.710
O19 O 0.786 0.183 0.033
O20 O 0.786 0.183 0.533
O21 O 0.946 0.500 0.372
O22 O 0.947 0.500 0.872
O23 O 0.982 0.000 0.297
O24 O 0.982 0.000 0.796
```